Compound: ZnS
Source: the Materials Project
Functional: r²SCAN
Structure: optimized geometry

Summary:
For the total magnetic moment, the calculation gives 0.00 μB per cell. The value obtained for the calculated volume is 19.56 Å³/atom. Its space group is P3m1. The energy of formation from the pure elements is -0.963 eV/atom.

Cell lengths 3.8102, 3.8102, 68.4659 Å; angles 90.00, 90.00, 120.00 degrees
Fractional coordinates of all 44 atoms:
Zn (0.0000, 0.0000, 0.0000)
Zn (0.0000, 0.0000, 0.0912)
Zn (0.0000, 0.0000, 0.2276)
Zn (0.0000, 0.0000, 0.3636)
Zn (0.0000, 0.0000, 0.4998)
Zn (0.0000, 0.0000, 0.6364)
Zn (0.0000, 0.0000, 0.7729)
Zn (0.0000, 0.0000, 0.9090)
Zn (0.3333, 0.6667, 0.1366)
Zn (0.3333, 0.6667, 0.2730)
Zn (0.3333, 0.6667, 0.4090)
Zn (0.3333, 0.6667, 0.5453)
Zn (0.3333, 0.6667, 0.6820)
Zn (0.3333, 0.6667, 0.8182)
Zn (0.3333, 0.6667, 0.9545)
Zn (0.6667, 0.3333, 0.0456)
Zn (0.6667, 0.3333, 0.1820)
Zn (0.6667, 0.3333, 0.3183)
Zn (0.6667, 0.3333, 0.4544)
Zn (0.6667, 0.3333, 0.5909)
Zn (0.6667, 0.3333, 0.7274)
Zn (0.6667, 0.3333, 0.8636)
S (0.0000, 0.0000, 0.0341)
S (0.0000, 0.0000, 0.1253)
S (0.0000, 0.0000, 0.2616)
S (0.0000, 0.0000, 0.3976)
S (0.0000, 0.0000, 0.5339)
S (0.0000, 0.0000, 0.6706)
S (0.0000, 0.0000, 0.8069)
S (0.0000, 0.0000, 0.9431)
S (0.3333, 0.6667, 0.1707)
S (0.3333, 0.6667, 0.3070)
S (0.3333, 0.6667, 0.4430)
S (0.3333, 0.6667, 0.5794)
S (0.3333, 0.6667, 0.7160)
S (0.3333, 0.6667, 0.8523)
S (0.3333, 0.6667, 0.9886)
S (0.6667, 0.3333, 0.0797)
S (0.6667, 0.3333, 0.2161)
S (0.6667, 0.3333, 0.3523)
S (0.6667, 0.3333, 0.4884)
S (0.6667, 0.3333, 0.6250)
S (0.6667, 0.3333, 0.7615)
S (0.6667, 0.3333, 0.8977)



Compound: ZnS
Source: the Materials Project
Functional: r²SCAN
Structure: optimized geometry

Summary:
For the total magnetic moment, the calculation gives 0.00 μB per cell. The value obtained for the calculated volume is 19.56 Å³/atom. Its space group is P3m1. The energy of formation from the pure elements is -0.962 eV/atom.

Cell lengths 3.8091, 3.8091, 43.5765 Å; angles 90.00, 90.00, 120.00 degrees
Fractional coordinates of all 28 atoms:
Zn (0.0000, 0.0000, 0.0000)
Zn (0.0000, 0.0000, 0.1429)
Zn (0.0000, 0.0000, 0.2859)
Zn (0.0000, 0.0000, 0.5001)
Zn (0.0000, 0.0000, 0.7144)
Zn (0.3333, 0.6667, 0.4286)
Zn (0.3333, 0.6667, 0.5716)
Zn (0.3333, 0.6667, 0.7858)
Zn (0.3333, 0.6667, 0.9287)
Zn (0.6667, 0.3333, 0.0714)
Zn (0.6667, 0.3333, 0.2144)
Zn (0.6667, 0.3333, 0.3573)
Zn (0.6667, 0.3333, 0.6430)
Zn (0.6667, 0.3333, 0.8572)
S (0.0000, 0.0000, 0.0536)
S (0.0000, 0.0000, 0.1965)
S (0.0000, 0.0000, 0.3395)
S (0.0000, 0.0000, 0.5537)
S (0.0000, 0.0000, 0.7680)
S (0.3333, 0.6667, 0.4822)
S (0.3333, 0.6667, 0.6252)
S (0.3333, 0.6667, 0.8393)
S (0.3333, 0.6667, 0.9823)
S (0.6667, 0.3333, 0.1251)
S (0.6667, 0.3333, 0.2680)
S (0.6667, 0.3333, 0.4109)
S (0.6667, 0.3333, 0.6966)
S (0.6667, 0.3333, 0.9109)



Compound: ZnS
Source: the Materials Project
Functional: r²SCAN
Structure: optimized geometry

Summary:
For the total magnetic moment, the calculation gives 0.00 μB per cell. The value obtained for the calculated volume is 19.54 Å³/atom. Its space group is P3m1. The energy of formation from the pure elements is -0.963 eV/atom.

Cell lengths 3.8088, 3.8088, 87.1108 Å; angles 90.00, 90.00, 120.00 degrees
Fractional coordinates of all 56 atoms:
Zn (0.0000, 0.0000, 0.0000)
Zn (0.0000, 0.0000, 0.0714)
Zn (0.0000, 0.0000, 0.1786)
Zn (0.0000, 0.0000, 0.2500)
Zn (0.0000, 0.0000, 0.3572)
Zn (0.0000, 0.0000, 0.4643)
Zn (0.0000, 0.0000, 0.5714)
Zn (0.0000, 0.0000, 0.6786)
Zn (0.0000, 0.0000, 0.7857)
Zn (0.0000, 0.0000, 0.8929)
Zn (0.3333, 0.6667, 0.0357)
Zn (0.3333, 0.6667, 0.1429)
Zn (0.3333, 0.6667, 0.2857)
Zn (0.3333, 0.6667, 0.3929)
Zn (0.3333, 0.6667, 0.5000)
Zn (0.3333, 0.6667, 0.6072)
Zn (0.3333, 0.6667, 0.7143)
Zn (0.3333, 0.6667, 0.8214)
Zn (0.3333, 0.6667, 0.9286)
Zn (0.6667, 0.3333, 0.1072)
Zn (0.6667, 0.3333, 0.2143)
Zn (0.6667, 0.3333, 0.3214)
Zn (0.6667, 0.3333, 0.4286)
Zn (0.6667, 0.3333, 0.5357)
Zn (0.6667, 0.3333, 0.6429)
Zn (0.6667, 0.3333, 0.7500)
Zn (0.6667, 0.3333, 0.8572)
Zn (0.6667, 0.3333, 0.9643)
S (0.0000, 0.0000, 0.0268)
S (0.0000, 0.0000, 0.0982)
S (0.0000, 0.0000, 0.2053)
S (0.0000, 0.0000, 0.2768)
S (0.0000, 0.0000, 0.3839)
S (0.0000, 0.0000, 0.4911)
S (0.0000, 0.0000, 0.5982)
S (0.0000, 0.0000, 0.7054)
S (0.0000, 0.0000, 0.8125)
S (0.0000, 0.0000, 0.9196)
S (0.3333, 0.6667, 0.0625)
S (0.3333, 0.6667, 0.1696)
S (0.3333, 0.6667, 0.3125)
S (0.3333, 0.6667, 0.4196)
S (0.3333, 0.6667, 0.5268)
S (0.3333, 0.6667, 0.6339)
S (0.3333, 0.6667, 0.7411)
S (0.3333, 0.6667, 0.8482)
S (0.3333, 0.6667, 0.9554)
S (0.6667, 0.3333, 0.1339)
S (0.6667, 0.3333, 0.2411)
S (0.6667, 0.3333, 0.3482)
S (0.6667, 0.3333, 0.4554)
S (0.6667, 0.3333, 0.5625)
S (0.6667, 0.3333, 0.6696)
S (0.6667, 0.3333, 0.7768)
S (0.6667, 0.3333, 0.8839)
S (0.6667, 0.3333, 0.9911)



Compound: ZnS
Source: the Materials Project
Functional: r²SCAN
Structure: optimized geometry

Summary:
For the total magnetic moment, the calculation gives 0.00 μB per cell. The value obtained for the calculated volume is 19.55 Å³/atom. Its space group is P3m1. The energy of formation from the pure elements is -0.962 eV/atom.

Cell lengths 3.8071, 3.8071, 62.2846 Å; angles 90.00, 90.00, 120.00 degrees
Fractional coordinates of all 40 atoms:
Zn (0.0000, 0.0000, 0.0000)
Zn (0.0000, 0.0000, 0.1000)
Zn (0.0000, 0.0000, 0.2500)
Zn (0.0000, 0.0000, 0.4000)
Zn (0.0000, 0.0000, 0.5500)
Zn (0.0000, 0.0000, 0.7000)
Zn (0.0000, 0.0000, 0.8000)
Zn (0.3333, 0.6667, 0.0500)
Zn (0.3333, 0.6667, 0.2000)
Zn (0.3333, 0.6667, 0.3500)
Zn (0.3333, 0.6667, 0.4500)
Zn (0.3333, 0.6667, 0.6000)
Zn (0.3333, 0.6667, 0.7500)
Zn (0.3333, 0.6667, 0.9000)
Zn (0.6667, 0.3333, 0.1500)
Zn (0.6667, 0.3333, 0.3000)
Zn (0.6667, 0.3333, 0.5000)
Zn (0.6667, 0.3333, 0.6500)
Zn (0.6667, 0.3333, 0.8500)
Zn (0.6667, 0.3333, 0.9501)
S (0.0000, 0.0000, 0.0374)
S (0.0000, 0.0000, 0.1375)
S (0.0000, 0.0000, 0.2875)
S (0.0000, 0.0000, 0.4375)
S (0.0000, 0.0000, 0.5875)
S (0.0000, 0.0000, 0.7374)
S (0.0000, 0.0000, 0.8375)
S (0.3333, 0.6667, 0.0875)
S (0.3333, 0.6667, 0.2375)
S (0.3333, 0.6667, 0.3874)
S (0.3333, 0.6667, 0.4875)
S (0.3333, 0.6667, 0.6375)
S (0.3333, 0.6667, 0.7875)
S (0.3333, 0.6667, 0.9375)
S (0.6667, 0.3333, 0.1875)
S (0.6667, 0.3333, 0.3375)
S (0.6667, 0.3333, 0.5375)
S (0.6667, 0.3333, 0.6875)
S (0.6667, 0.3333, 0.8874)
S (0.6667, 0.3333, 0.9875)



Copy entry 3 word for word.
Compound: ZnS
Source: the Materials Project
Functional: r²SCAN
Structure: optimized geometry

Summary:
For the total magnetic moment, the calculation gives 0.00 μB per cell. The value obtained for the calculated volume is 19.54 Å³/atom. Its space group is P3m1. The energy of formation from the pure elements is -0.963 eV/atom.

Cell lengths 3.8088, 3.8088, 87.1108 Å; angles 90.00, 90.00, 120.00 degrees
Fractional coordinates of all 56 atoms:
Zn (0.0000, 0.0000, 0.0000)
Zn (0.0000, 0.0000, 0.0714)
Zn (0.0000, 0.0000, 0.1786)
Zn (0.0000, 0.0000, 0.2500)
Zn (0.0000, 0.0000, 0.3572)
Zn (0.0000, 0.0000, 0.4643)
Zn (0.0000, 0.0000, 0.5714)
Zn (0.0000, 0.0000, 0.6786)
Zn (0.0000, 0.0000, 0.7857)
Zn (0.0000, 0.0000, 0.8929)
Zn (0.3333, 0.6667, 0.0357)
Zn (0.3333, 0.6667, 0.1429)
Zn (0.3333, 0.6667, 0.2857)
Zn (0.3333, 0.6667, 0.3929)
Zn (0.3333, 0.6667, 0.5000)
Zn (0.3333, 0.6667, 0.6072)
Zn (0.3333, 0.6667, 0.7143)
Zn (0.3333, 0.6667, 0.8214)
Zn (0.3333, 0.6667, 0.9286)
Zn (0.6667, 0.3333, 0.1072)
Zn (0.6667, 0.3333, 0.2143)
Zn (0.6667, 0.3333, 0.3214)
Zn (0.6667, 0.3333, 0.4286)
Zn (0.6667, 0.3333, 0.5357)
Zn (0.6667, 0.3333, 0.6429)
Zn (0.6667, 0.3333, 0.7500)
Zn (0.6667, 0.3333, 0.8572)
Zn (0.6667, 0.3333, 0.9643)
S (0.0000, 0.0000, 0.0268)
S (0.0000, 0.0000, 0.0982)
S (0.0000, 0.0000, 0.2053)
S (0.0000, 0.0000, 0.2768)
S (0.0000, 0.0000, 0.3839)
S (0.0000, 0.0000, 0.4911)
S (0.0000, 0.0000, 0.5982)
S (0.0000, 0.0000, 0.7054)
S (0.0000, 0.0000, 0.8125)
S (0.0000, 0.0000, 0.9196)
S (0.3333, 0.6667, 0.0625)
S (0.3333, 0.6667, 0.1696)
S (0.3333, 0.6667, 0.3125)
S (0.3333, 0.6667, 0.4196)
S (0.3333, 0.6667, 0.5268)
S (0.3333, 0.6667, 0.6339)
S (0.3333, 0.6667, 0.7411)
S (0.3333, 0.6667, 0.8482)
S (0.3333, 0.6667, 0.9554)
S (0.6667, 0.3333, 0.1339)
S (0.6667, 0.3333, 0.2411)
S (0.6667, 0.3333, 0.3482)
S (0.6667, 0.3333, 0.4554)
S (0.6667, 0.3333, 0.5625)
S (0.6667, 0.3333, 0.6696)
S (0.6667, 0.3333, 0.7768)
S (0.6667, 0.3333, 0.8839)
S (0.6667, 0.3333, 0.9911)